Record 1
This record from the Materials Project database describes a relaxed structure of ZnH9C4N3O6. The functional is r²SCAN.

Cell: 8.237 11.593 8.938 Å, 90.00 90.00 90.00°
Element x y z (fractional)
N 0.155 0.427 0.686
N 0.750 0.500 0.091
N 0.250 0.500 0.909
N 0.655 0.073 0.186
N 0.845 0.573 0.314
N 0.345 0.927 0.814
N 0.845 0.927 0.186
N 0.750 0.000 0.409
N 0.155 0.073 0.814
N 0.250 0.000 0.591
N 0.345 0.573 0.686
N 0.655 0.427 0.314
H 0.186 0.439 0.966
H 0.074 0.122 0.755
H 0.926 0.622 0.255
H 0.250 0.500 0.183
H 0.314 0.561 0.966
H 0.426 0.878 0.755
H 0.111 0.783 0.927
H 0.111 0.717 0.573
H 0.686 0.061 0.466
H 0.389 0.283 0.573
H 0.926 0.878 0.245
H 0.814 0.939 0.466
H 0.332 0.919 0.927
H 0.611 0.783 0.073
H 0.832 0.919 0.073
H 0.889 0.283 0.427
H 0.332 0.581 0.573
H 0.686 0.439 0.034
H 0.611 0.717 0.427
H 0.168 0.081 0.927
H 0.389 0.217 0.927
H 0.074 0.378 0.745
H 0.889 0.217 0.073
H 0.814 0.561 0.034
H 0.574 0.378 0.255
H 0.168 0.419 0.573
H 0.250 0.000 0.317
H 0.750 0.000 0.683
H 0.668 0.081 0.073
H 0.574 0.122 0.245
H 0.750 0.500 0.817
H 0.668 0.419 0.427
H 0.314 0.939 0.534
H 0.426 0.622 0.745
H 0.832 0.581 0.427
H 0.186 0.061 0.534
C 0.750 0.500 0.240
C 0.966 0.281 0.016
C 0.534 0.719 0.016
C 0.466 0.219 0.516
C 0.250 0.500 0.305
C 0.250 0.000 0.740
C 0.750 0.500 0.695
C 0.966 0.219 0.484
C 0.034 0.719 0.984
C 0.750 0.000 0.805
C 0.534 0.781 0.484
C 0.250 0.500 0.760
C 0.750 0.000 0.260
C 0.034 0.781 0.516
C 0.250 0.000 0.195
C 0.466 0.281 0.984
O 0.929 0.190 0.616
O 0.585 0.177 0.587
O 0.915 0.823 0.587
O 0.085 0.323 0.087
O 0.571 0.690 0.884
O 0.766 0.596 0.629
O 0.234 0.096 0.129
O 0.766 0.904 0.871
O 0.071 0.810 0.384
O 0.929 0.310 0.884
O 0.085 0.177 0.413
O 0.734 0.404 0.629
O 0.415 0.823 0.413
O 0.734 0.096 0.871
O 0.234 0.404 0.371
O 0.585 0.323 0.913
O 0.429 0.310 0.116
O 0.429 0.190 0.384
O 0.571 0.810 0.616
O 0.266 0.596 0.371
O 0.071 0.690 0.116
O 0.415 0.677 0.087
O 0.266 0.904 0.129
O 0.915 0.677 0.913
Zn 0.266 0.750 0.250
Zn 0.766 0.750 0.750
Zn 0.234 0.250 0.250
Zn 0.734 0.250 0.750

Values from the calculation:
Magnetization (Bohr magnetons per cell): 0.00
Uncorrected energy (eV/atom): -6.978
ΔE_f (eV per atom): -0.76

***

Record 2
This record from the Materials Project database describes a relaxed structure of GdZrRu2. The functional is r²SCAN.

Cell: 4.716 4.716 4.716 Å, 60.00 60.00 60.00°
Element x y z (fractional)
Gd 0.500 0.500 0.500
Zr 0.000 0.000 0.000
Ru 0.750 0.750 0.750
Ru 0.250 0.250 0.250

Values from the calculation:
Magnetization (Bohr magnetons per cell): 7.08
Uncorrected energy (eV/atom): -29.702
ΔE_f (eV per atom): -0.45

***

Record 3
This record from the Materials Project database describes a relaxed structure of Pm2TlHg. The functional is r²SCAN.

Cell: 5.412 5.412 5.412 Å, 60.00 60.00 60.00°
Element x y z (fractional)
Pm 0.750 0.750 0.750
Pm 0.250 0.250 0.250
Hg 0.500 0.500 0.500
Tl 0.000 0.000 0.000

Values from the calculation:
Magnetization (Bohr magnetons per cell): 0.92
Uncorrected energy (eV/atom): -40.958
ΔE_f (eV per atom): -0.55

***

Record 4
This record from the Materials Project database describes a relaxed structure of ScNi4Sn. The functional is r²SCAN.

Cell: 4.835 4.835 4.835 Å, 60.00 60.00 60.00°
Element x y z (fractional)
Ni 0.625 0.125 0.625
Ni 0.625 0.625 0.125
Ni 0.625 0.625 0.625
Ni 0.125 0.625 0.625
Sn 0.250 0.250 0.250
Sc 0.000 0.000 0.000

Values from the calculation:
Magnetization (Bohr magnetons per cell): 0.00
Uncorrected energy (eV/atom): -14.386
ΔE_f (eV per atom): -0.37